Compound: LiFePO5
Source: the Materials Project database
Functional: PBE+U
Structure: relaxed

Unit cell a=6.799 b=6.946 c=8.143 alpha=90.32 beta=92.05 gamma=115.23
Positions (direct):
Li1 0.199 0.200 0.069
Li2 0.292 0.727 0.430
Li3 0.708 0.273 0.570
Li4 0.801 0.800 0.931
Fe1 0.253 0.503 0.752
Fe2 0.254 0.003 0.746
Fe3 0.746 0.997 0.254
Fe4 0.747 0.497 0.248
P1 0.239 0.758 0.088
P2 0.260 0.245 0.411
P3 0.740 0.755 0.589
P4 0.761 0.242 0.912
O1 0.053 0.077 0.321
O2 0.081 0.632 0.222
O3 0.142 0.883 0.978
O4 0.212 0.410 0.514
O5 0.228 0.742 0.668
O6 0.272 0.259 0.831
O7 0.300 0.607 0.981
O8 0.365 0.134 0.525
O9 0.412 0.360 0.270
O10 0.441 0.920 0.187
O11 0.559 0.080 0.813
O12 0.588 0.640 0.730
O13 0.635 0.866 0.475
O14 0.700 0.393 0.019
O15 0.728 0.741 0.169
O16 0.772 0.258 0.332
O17 0.788 0.590 0.486
O18 0.858 0.117 0.022
O19 0.919 0.368 0.778
O20 0.947 0.923 0.679

Properties
spin magnetization = 16.000 μB/cell
distance to the lowest polymorph of the same formula = 0.00 eV/f.u.
space group = P-1 (2)
energy of formation = -2.174 eV/atom